VASP calculation (GGA-PBE) on crystalline Al2P3H17C4N2O12 at its relaxed geometry.

abc: 18.725 5.078 35.947
angles: 90.00 98.23 90.00
Space group C2/c (No. 15)
Inequivalent atoms, fractional coordinates:
1 Al 0.100 0.219 0.104 x8
2 Al 0.211 0.280 0.376 x8
3 P 0.044 0.199 0.362 x8
4 P 0.152 0.285 0.564 x8
5 P 0.238 0.283 0.163 x8
6 H 0.011 0.241 0.987 x8
7 H 0.034 0.413 0.947 x8
8 H 0.037 0.395 0.839 x8
9 H 0.041 0.063 0.949 x8
10 H 0.071 0.242 0.241 x8
11 H 0.072 0.008 0.278 x8
12 H 0.076 0.131 0.694 x8
13 H 0.078 0.363 0.731 x8
14 H 0.128 0.442 0.000 x8
15 H 0.134 0.104 0.002 x8
16 H 0.140 0.256 0.281 x8
17 H 0.149 0.359 0.703 x8
18 H 0.164 0.443 0.939 x8
19 H 0.171 0.091 0.941 x8
20 H 0.185 0.065 0.227 x8
21 H 0.187 0.152 0.763 x8
22 H 0.229 0.293 0.973 x8
23 C 0.047 0.245 0.966 x8
24 C 0.105 0.126 0.262 x8
25 C 0.111 0.237 0.716 x8
26 C 0.175 0.273 0.957 x8
27 N 0.123 0.268 0.984 x8
28 N 0.152 0.049 0.742 x8
29 O 0.009 0.269 0.109 x8
30 O 0.032 0.066 0.844 x8
31 O 0.034 0.417 0.330 x8
32 O 0.110 0.102 0.588 x8
33 O 0.122 0.238 0.385 x8
34 O 0.124 0.429 0.069 x8
35 O 0.141 0.220 0.522 x8
36 O 0.155 0.271 0.147 x8
37 O 0.221 0.394 0.862 x8
38 O 0.234 0.276 0.581 x8
39 O 0.236 0.070 0.342 x8
40 O 0.250 0.205 0.204 x8

## Properties
As for the calculated formation energy: -1.4262 eV/atom. For the spin magnetization, the calculation gives 0.0 μB/cell. Its density is 1.697 g cm⁻³.